Below is a relaxed structure of Hf2CN, with properties calculated at the PBE level.

Cell lengths 3.2530, 3.2530, 15.9299 Å; angles 90.00, 90.00, 120.00 degrees
Space group R-3m (No. 166, hexagonal axes)
Inequivalent atoms, fractional coordinates:
Hf 0.0000 0.0000 0.2488
C 0.0000 0.0000 0.5000
N 0.0000 0.0000 0.0000



Below is a relaxed structure of Hf4C3N, with properties calculated at the PBE level.

Cell lengths 3.2732, 3.2732, 32.0118 Å; angles 90.00, 90.00, 120.00 degrees
Space group R-3m (No. 166, hexagonal axes)
Inequivalent atoms, fractional coordinates:
Hf 0.0000 0.0000 0.1237
Hf 0.0000 0.0000 0.3745
C 0.0000 0.0000 0.0000
C 0.0000 0.0000 0.2484
N 0.0000 0.0000 0.5000



Below is a relaxed structure of HfNb4CN4, with properties calculated at the PBE level.

Results
spin magnetization: 0.0 μB/f.u.

Cell lengths 3.175, 3.175, 22.314 Å; angles 90.00, 90.00, 90.00 degrees
Space group I4/mmm (No. 139)
Inequivalent atoms, fractional coordinates:
Hf 0.000 0.000 0.000
Nb 0.000 0.000 0.200
Nb 0.000 0.000 0.401
C 0.000 0.000 0.500
N 0.000 0.000 0.100
N 0.000 0.000 0.300



Below is a relaxed structure of HfNbCN, with properties calculated at the PBE level.

Results
spin magnetization: 0.0 μB/f.u.

Cell lengths 3.2022, 3.2022, 15.7824 Å; angles 90.00, 90.00, 120.00 degrees
Space group R3m (No. 160, hexagonal axes)
Inequivalent atoms, fractional coordinates:
Hf 0.0000 0.0000 0.0000
Nb 0.0000 0.0000 0.4952
C 0.0000 0.0000 0.7488
N 0.0000 0.0000 0.2490



Number 1: final energy -10.78 eV per atom, formation energy from the elements -1.502 eV per atom. Number 2: final energy -10.67 eV per atom, formation energy from the elements -1.236 eV per atom. Number 3: final energy -10.20 eV per atom, formation energy from the elements -1.055 eV per atom. Number 4: final energy -10.48 eV per atom, formation energy from the elements -1.160 eV per atom.